--- one ---
Compound: FeCu5S4
Source: the Materials Project
Functional: PBE
Structure: optimized geometry

Results
total moment	3.78	μB/f.u.

Structure (POSCAR):
```
FeCu5S4
1.0
-9.368 5.703 -6.592
-8.093 3.333 -9.335
-10.661 2.088 -6.761
Fe Cu S
1 5 4
direct
0.305 0.305 0.305 Fe
0.441 0.441 0.441 Cu
0.831 0.831 0.831 Cu
0.686 0.686 0.686 Cu
0.566 0.566 0.566 Cu
0.060 0.060 0.060 Cu
0.993 0.993 0.993 S
0.747 0.747 0.747 S
0.247 0.247 0.247 S
0.501 0.501 0.501 S
```

--- two ---
Compound: FeCu5S4
Source: the Materials Project
Functional: PBE
Structure: optimized geometry

Results
total moment	4.31	μB/f.u.

Structure (POSCAR):
```
FeCu5S4
1.0
-3.171 1.929 0.841
1.238 -0.784 6.465
3.737 5.180 2.208
Fe Cu S
1 5 4
direct
0.000 0.868 0.385 Fe
0.000 0.613 0.142 Cu
0.500 0.367 0.405 Cu
0.000 0.389 0.859 Cu
0.500 0.127 0.132 Cu
0.500 0.872 0.861 Cu
0.000 0.994 0.013 S
0.000 0.503 0.508 S
0.500 0.498 0.004 S
0.500 0.997 0.507 S
```

It comes down to two, which is 22 meV per atom more stable than the next structure.

--- one ---
Compound: FeCu3S8
Source: the Materials Project
Functional: PBE
Structure: optimized geometry

Results
total moment	0.00	μB/f.u.

Structure (POSCAR):
```
FeCu3S8
1.0
-3.247 -4.681 0.008
2.041 -1.485 -5.107
4.188 -2.961 2.479
Fe Cu S
1 3 8
direct
0.000 0.000 0.000 Fe
0.500 0.500 0.000 Cu
0.500 0.000 0.500 Cu
0.000 0.500 0.500 Cu
0.902 0.098 0.621 S
0.098 0.621 0.902 S
0.621 0.902 0.098 S
0.398 0.398 0.398 S
0.098 0.902 0.379 S
0.902 0.379 0.098 S
0.379 0.098 0.902 S
0.602 0.602 0.602 S
```

--- two ---
Compound: FeCu3S8
Source: the Materials Project
Functional: PBE
Structure: optimized geometry

Results
total moment	0.00	μB/f.u.

Structure (POSCAR):
```
FeCu3S8
1.0
-1.909 3.513 -4.064
3.241 -2.678 -3.837
-5.450 -9.898 -5.996
Fe Cu S
2 6 16
direct
0.000 0.000 0.500 Fe
0.500 0.000 0.000 Fe
0.997 0.251 0.751 Cu
0.003 0.749 0.249 Cu
0.000 0.500 0.000 Cu
0.497 0.749 0.749 Cu
0.500 0.500 0.500 Cu
0.503 0.251 0.251 Cu
0.879 0.950 0.951 S
0.903 0.428 0.451 S
0.897 0.401 0.200 S
0.904 0.909 0.689 S
0.597 0.428 0.951 S
0.596 0.909 0.189 S
0.603 0.401 0.700 S
0.621 0.950 0.451 S
0.403 0.572 0.049 S
0.379 0.050 0.549 S
0.404 0.091 0.811 S
0.397 0.599 0.300 S
0.103 0.599 0.800 S
0.096 0.091 0.311 S
0.121 0.050 0.049 S
0.097 0.572 0.549 S
```

It comes down to one, which is 7 meV per atom more stable than the next structure.

--- one ---
Compound: FeCu2SnSe4
Source: the Materials Project
Functional: PBE
Structure: optimized geometry

Results
total moment	3.73	μB/f.u.

Structure (POSCAR):
```
FeCu2SnSe4
1.0
14.213 -1.989 0.000
14.213 1.989 0.000
13.935 0.000 3.434
Fe Cu Sn Se
1 2 1 4
direct
0.263 0.263 0.263 Fe
0.001 0.001 0.001 Cu
0.737 0.737 0.737 Cu
0.500 0.500 0.500 Sn
0.057 0.057 0.057 Se
0.796 0.796 0.796 Se
0.579 0.579 0.579 Se
0.317 0.317 0.317 Se
```

--- two ---
Compound: FeCu2SnSe4
Source: the Materials Project
Functional: PBE
Structure: optimized geometry

Results
total moment	3.86	μB/f.u.

Structure (POSCAR):
```
FeCu2SnSe4
1.0
5.768 0.000 0.000
0.000 5.768 0.000
-2.884 -2.884 5.665
Fe Cu Sn Se
1 2 1 4
direct
0.000 0.000 0.000 Fe
0.750 0.250 0.500 Cu
0.250 0.750 0.500 Cu
0.500 0.500 0.000 Sn
0.364 0.364 0.268 Se
0.636 0.096 0.732 Se
0.096 0.636 0.732 Se
0.904 0.904 0.268 Se
```

It comes down to two, which is 93 meV per atom more stable than the next structure.

--- one ---
Compound: Mn2GaCu3
Source: the Materials Project
Functional: PBE
Structure: optimized geometry

Structure (POSCAR):
```
Mn2GaCu3
1.0
-3.814 -1.682 2.572
0.191 -0.708 -4.843
3.776 -6.813 1.145
Mn Ga Cu
4 2 6
direct
0.333 0.667 0.438 Mn
0.667 0.333 0.562 Mn
0.667 0.333 0.938 Mn
0.333 0.667 0.062 Mn
0.000 0.000 0.500 Ga
0.000 0.000 0.000 Ga
0.829 0.171 0.250 Cu
0.829 0.657 0.250 Cu
0.343 0.171 0.250 Cu
0.171 0.829 0.750 Cu
0.171 0.343 0.750 Cu
0.657 0.829 0.750 Cu
```

--- two ---
Compound: Mn2GaCu3
Source: the Materials Project
Functional: PBE
Structure: optimized geometry

Results
total moment	7.54	μB/f.u.

Structure (POSCAR):
```
Mn2GaCu3
1.0
-2.017 3.871 -2.126
-4.821 0.232 -0.528
-2.575 3.148 2.652
Mn Ga Cu
2 1 3
direct
0.625 0.625 0.625 Mn
0.375 0.375 0.375 Mn
0.000 0.000 0.000 Ga
0.000 0.500 0.000 Cu
0.500 0.000 0.000 Cu
0.000 0.000 0.500 Cu
```

It comes down to one, which is 7 meV per atom more stable than the next structure.

--- one ---
Compound: SrPrGaCuO5
Source: the Materials Project
Functional: PBE
Structure: optimized geometry

Results
total moment	0.00	μB/f.u.

Structure (POSCAR):
```
SrPrGaCuO5
1.0
0.285 -4.673 -3.475
1.791 3.423 -4.687
6.333 -0.194 5.170
Sr Pr Ga Cu O
2 2 2 2 10
direct
0.174 0.648 0.252 Sr
0.698 0.003 0.275 Sr
0.363 0.866 0.775 Pr
0.869 0.421 0.823 Pr
0.774 0.580 0.463 Ga
0.299 0.280 0.529 Ga
0.511 0.359 0.013 Cu
0.993 0.000 0.992 Cu
0.171 0.731 0.938 O
0.003 0.815 0.514 O
0.972 0.344 0.528 O
0.571 0.584 0.243 O
0.748 0.785 0.987 O
0.190 0.194 0.940 O
0.847 0.276 0.071 O
0.522 0.556 0.572 O
0.321 0.055 0.341 O
0.475 0.225 0.744 O
```

--- two ---
Compound: SrPrGaCuO5
Source: the Materials Project
Functional: PBE
Structure: optimized geometry

Results
total moment	0.00	μB/f.u.

Structure (POSCAR):
```
SrPrGaCuO5
1.0
-4.661 -1.184 -2.898
2.341 -4.434 -1.933
-1.775 -1.478 8.868
Sr Pr Ga Cu O
2 2 2 2 10
direct
0.415 0.847 0.777 Sr
0.947 0.345 0.776 Sr
0.126 0.569 0.207 Pr
0.667 0.070 0.207 Pr
0.356 0.243 0.497 Ga
0.726 0.743 0.499 Ga
0.540 0.460 0.997 Cu
0.045 0.960 0.997 Cu
0.309 0.726 0.028 O
0.120 0.064 0.303 O
0.660 0.087 0.480 O
0.346 0.282 0.700 O
0.310 0.229 0.032 O
0.789 0.718 0.004 O
0.800 0.218 0.001 O
0.405 0.591 0.483 O
0.939 0.789 0.702 O
0.777 0.558 0.309 O
```

--- three ---
Compound: SrPrGaCuO5
Source: the Materials Project
Functional: PBE
Structure: optimized geometry

Results
total moment	0.00	μB/f.u.

Structure (POSCAR):
```
SrPrGaCuO5
1.0
8.270 3.874 0.000
-8.270 3.874 0.000
0.000 3.699 3.876
Sr Pr Ga Cu O
2 2 2 2 10
direct
0.403 0.124 0.491 Sr
0.124 0.403 0.491 Sr
0.574 0.871 0.536 Pr
0.871 0.574 0.536 Pr
0.186 0.186 0.106 Ga
0.819 0.819 0.963 Ga
0.496 0.995 0.009 Cu
0.995 0.496 0.009 Cu
0.422 0.226 0.896 O
0.601 0.802 0.005 O
0.226 0.422 0.896 O
0.802 0.601 0.005 O
0.868 0.868 0.277 O
0.130 0.130 0.512 O
0.753 0.245 0.507 O
0.236 0.749 0.014 O
0.245 0.753 0.507 O
0.749 0.236 0.014 O
```

It comes down to two, which is 18 meV per atom more stable than the next structure.

--- one ---
Compound: Gd2CuO4
Source: the Materials Project
Functional: PBE
Structure: optimized geometry

Results
total moment	13.98	μB/f.u.

Structure (POSCAR):
```
Gd2CuO4
1.0
5.519 0.000 0.000
0.000 5.524 0.000
0.000 2.621 6.011
Gd Cu O
4 2 8
direct
0.503 0.157 0.697 Gd
0.997 0.657 0.697 Gd
0.003 0.343 0.303 Gd
0.497 0.843 0.303 Gd
0.000 0.000 0.000 Cu
0.500 0.500 0.000 Cu
0.249 0.004 0.503 O
0.273 0.225 0.005 O
0.773 0.275 0.995 O
0.749 0.496 0.497 O
0.251 0.504 0.503 O
0.227 0.725 0.005 O
0.727 0.775 0.995 O
0.751 0.996 0.497 O
```

--- two ---
Compound: Gd2CuO4
Source: the Materials Project
Functional: PBE
Structure: optimized geometry

Structure (POSCAR):
```
Gd2CuO4
1.0
3.910 3.909 0.000
3.909 -3.909 0.000
1.955 1.955 -5.987
Gd Cu O
4 2 8
direct
0.151 0.500 0.698 Gd
0.349 0.000 0.301 Gd
0.849 0.500 0.301 Gd
0.651 0.000 0.699 Gd
0.500 0.500 0.000 Cu
0.000 0.000 0.000 Cu
0.000 0.250 0.500 O
0.500 0.750 0.500 O
0.500 0.250 0.500 O
0.000 0.750 0.500 O
0.250 0.750 0.000 O
0.750 0.250 0.000 O
0.250 0.250 0.000 O
0.750 0.750 0.000 O
```

It comes down to two, which is 29 meV per atom more stable than the next structure.

--- one ---
Compound: MgCu4Ge2O8
Source: the Materials Project
Functional: PBE
Structure: optimized geometry

Results
total moment	2.01	μB/f.u.

Structure (POSCAR):
```
MgCu4Ge2O8
1.0
5.172 0.016 -2.631
-1.266 4.711 -2.489
0.465 0.785 7.241
Mg Cu Ge O
1 4 2 8
direct
0.169 0.420 0.336 Mg
0.969 0.980 0.941 Cu
0.514 0.007 0.513 Cu
0.001 0.007 0.514 Cu
0.969 0.459 0.938 Cu
0.630 0.379 0.257 Ge
0.387 0.638 0.776 Ge
0.717 0.727 0.431 O
0.821 0.302 0.105 O
0.290 0.303 0.106 O
0.287 0.287 0.572 O
0.287 0.787 0.572 O
0.192 0.707 0.913 O
0.718 0.206 0.433 O
0.718 0.708 0.915 O
```

--- two ---
Compound: MgCu4Ge2O8
Source: the Materials Project
Functional: PBE
Structure: optimized geometry

Results
total moment	2.00	μB/f.u.

Structure (POSCAR):
```
MgCu4Ge2O8
1.0
4.911 0.000 -2.512
-1.504 4.679 -2.940
0.797 0.524 7.615
Mg Cu Ge O
1 4 2 8
direct
0.500 0.500 0.000 Mg
0.000 0.000 0.000 Cu
0.500 0.000 0.500 Cu
0.000 0.000 0.500 Cu
0.000 0.500 0.000 Cu
0.637 0.354 0.273 Ge
0.363 0.646 0.727 Ge
0.682 0.717 0.364 O
0.787 0.287 0.080 O
0.292 0.287 0.080 O
0.318 0.283 0.636 O
0.279 0.779 0.558 O
0.213 0.713 0.920 O
0.721 0.221 0.442 O
0.708 0.713 0.920 O
```

It comes down to one, which is 44 meV per atom more stable than the next structure.

--- one ---
Compound: Tb2MgCuGe4O12
Source: the Materials Project
Functional: PBE
Structure: optimized geometry

Results
total moment	0.00	μB/f.u.

Structure (POSCAR):
```
Tb2MgCuGe4O12
1.0
5.243 0.016 0.249
1.516 6.745 3.092
-0.062 0.118 8.155
Tb Mg Cu Ge O
2 1 1 4 12
direct
0.033 0.777 0.434 Tb
0.967 0.223 0.566 Tb
0.500 0.000 0.000 Mg
0.000 0.000 0.000 Cu
0.558 0.832 0.753 Ge
0.442 0.168 0.247 Ge
0.584 0.595 0.214 Ge
0.416 0.405 0.786 Ge
0.801 0.925 0.607 O
0.199 0.075 0.393 O
0.828 0.558 0.375 O
0.172 0.442 0.625 O
0.438 0.666 0.686 O
0.562 0.334 0.314 O
0.707 0.723 0.987 O
0.703 0.207 0.805 O
0.297 0.793 0.195 O
0.706 0.991 0.217 O
0.294 0.009 0.783 O
0.293 0.277 0.013 O
```

--- two ---
Compound: Tb2MgCuGe4O12
Source: the Materials Project
Functional: PBE
Structure: optimized geometry

Results
total moment	0.91	μB/f.u.

Structure (POSCAR):
```
Tb2MgCuGe4O12
1.0
-5.318 0.586 0.438
-2.235 -3.646 -5.929
-0.864 -7.467 1.432
Tb Mg Cu Ge O
2 1 1 4 12
direct
0.049 0.766 0.424 Tb
0.974 0.221 0.558 Tb
0.092 0.727 0.920 Mg
0.962 0.068 0.004 Cu
0.549 0.873 0.765 Ge
0.472 0.156 0.226 Ge
0.591 0.579 0.219 Ge
0.426 0.406 0.779 Ge
0.862 0.875 0.647 O
0.241 0.060 0.381 O
0.776 0.570 0.407 O
0.213 0.429 0.598 O
0.375 0.674 0.735 O
0.639 0.305 0.308 O
0.736 0.678 0.997 O
0.720 0.263 0.781 O
0.265 0.675 0.185 O
0.732 0.981 0.205 O
0.201 0.003 0.834 O
0.299 0.330 0.011 O
```

It comes down to two, which is 39 meV per atom more stable than the next structure.

--- one ---
Compound: ZnCu2GeSe2S2
Source: the Materials Project
Functional: PBE
Structure: optimized geometry

Results
total moment	0.00	μB/f.u.

Structure (POSCAR):
```
ZnCu2GeSe2S2
1.0
-4.941 0.275 2.374
-2.367 -0.349 -4.939
-3.750 -5.477 -0.853
Zn Cu Ge Se S
1 2 1 2 2
direct
0.993 0.993 0.013 Zn
0.259 0.759 0.482 Cu
0.759 0.259 0.482 Cu
0.493 0.493 0.015 Ge
0.383 0.873 0.744 Se
0.873 0.383 0.744 Se
0.612 0.612 0.260 S
0.128 0.128 0.260 S
```

--- two ---
Compound: ZnCu2GeSe2S2
Source: the Materials Project
Functional: PBE
Structure: optimized geometry

Results
total moment	0.00	μB/f.u.

Structure (POSCAR):
```
ZnCu2GeSe2S2
1.0
6.378 0.000 0.000
0.000 6.722 0.000
0.000 0.000 7.746
Zn Cu Ge Se S
2 4 2 4 4
direct
0.008 0.143 0.500 Zn
0.508 0.857 0.000 Zn
0.496 0.313 0.748 Cu
0.496 0.313 0.252 Cu
0.996 0.687 0.752 Cu
0.996 0.687 0.248 Cu
0.507 0.841 0.500 Ge
0.007 0.159 0.000 Ge
0.876 0.339 0.752 Se
0.876 0.339 0.248 Se
0.376 0.661 0.748 Se
0.376 0.661 0.252 Se
0.868 0.821 0.500 S
0.368 0.179 0.000 S
0.382 0.158 0.500 S
0.882 0.842 0.000 S
```

It comes down to two, which is 9 meV per atom more stable than the next structure.